Entry from the Materials Project database: an optimized crystal structure of Na4MgV4O10 (GGA+U).

- Raw total energy: -6.394 eV per atom
- ΔH_f (0 K): -2.23 eV per atom
- V: 11.69 Å³ per atom
- Crystal system: triclinic
- SG: P1 (1)
- Magnetization: 6.0 μB/cell

Unit cell a=5.5297 b=5.7388 c=8.0468 alpha=110.71 beta=110.06 gamma=90.17
Last column: nearest neighbours and their distance in Å.
Element x y z (fractional)
Na 0.0000 0.0000 0.0000  4 O 2.22-2.39
Na 0.1796 0.1275 0.3901  7 O 2.31-2.52
Na 0.5033 0.4515 0.0433  7 O 2.30-2.54
Na 0.7143 0.7134 0.4321  4 O 2.21-2.41
Mg 0.5297 0.1121 0.7179  5 O 2.02-2.13
V 0.0905 0.5728 0.2190  3 O 1.85-2.06
V 0.4377 0.6669 0.7156  4 O 1.91-1.93
V 0.5875 0.0590 0.2122  3 O 1.85-2.04
V 0.9288 0.4010 0.7140  4 O 1.89-1.95
O 0.2690 0.7801 0.5134  2 V 1.91-2.10, 1 Mg 2.13
O 0.2806 0.3677 0.7173  2 V 1.93-1.95, 1 Mg 2.02
O 0.3187 0.3390 0.2258  1 V 1.85
O 0.3208 0.8064 0.1710  2 V 1.92-2.06
O 0.4747 0.9811 0.9216  2 V 1.92-2.08, 1 Mg 2.13
O 0.6660 0.1443 0.5137  1 V 1.89, 1 Mg 2.09
O 0.7851 0.7003 0.7165  2 V 1.89-1.93
O 0.8356 0.3201 0.2662  1 V 1.85
O 0.8386 0.7984 0.2065  2 V 1.91-2.04
O 0.8721 0.3512 0.9202  1 V 1.90, 1 Mg 2.10

Entry from the Materials Project database: an optimized crystal structure of Li9Mn2Co5O16 (GGA+U).

- Raw total energy: -5.829 eV per atom
- ΔH_f (0 K): -1.84 eV per atom
- V: 8.80 Å³ per atom
- Crystal system: triclinic
- SG: P-1 (2)
- Magnetization: 10.0 μB/cell

Unit cell a=5.1406 b=6.4498 c=8.6234 alpha=96.81 beta=94.30 gamma=95.53
Last column: nearest neighbours and their distance in Å.
Element x y z (fractional)
Li 0.0000 0.0000 0.0000  6 O 2.05-2.20
Li 0.2326 0.4289 0.0608  5 O 2.02-2.15
Li 0.2392 0.1873 0.3060  6 O 2.07-2.21
Li 0.2403 0.7015 0.8207  6 O 2.06-2.24
Li 0.2397 0.9348 0.5632  5 O 1.98-2.14
Li 0.7603 0.0652 0.4368  5 O 1.98-2.14
Li 0.7597 0.2985 0.1793  6 O 2.06-2.24
Li 0.7608 0.8127 0.6940  6 O 2.07-2.21
Li 0.7674 0.5711 0.9392  5 O 2.02-2.15
Mn 0.9998 0.2469 0.7532  6 O 1.87-1.98
Mn 0.0002 0.7531 0.2468  6 O 1.87-1.98
Co 0.0000 0.5000 0.5000  4 O 1.92
Co 0.4976 0.1210 0.8777  4 O 1.90-1.99
Co 0.4993 0.3764 0.6239  5 O 1.91-2.13
Co 0.5007 0.6236 0.3761  5 O 1.91-2.13
Co 0.5024 0.8790 0.1223  4 O 1.90-1.99
O 0.1123 0.4806 0.2913  2 Co 1.92-2.15, 1 Mn 1.97, 2 Li 2.07-2.12
O 0.1145 0.2354 0.5392  2 Co 1.92-2.13, 1 Mn 1.97, 2 Li 2.11-2.13
O 0.1193 0.9854 0.7759  1 Mn 1.88, 4 Li 1.98-2.09
O 0.1210 0.7191 0.0472  1 Mn 1.87, 4 Li 2.02-2.08
O 0.3571 0.3791 0.8277  2 Co 1.95-1.96, 1 Mn 1.98, 1 Li 2.15
O 0.3565 0.8804 0.3302  2 Co 1.95-1.99, 1 Mn 1.98, 2 Li 2.14-2.15
O 0.3885 0.6417 0.5830  2 Co 1.91-1.92, 1 Li 2.13
O 0.3975 0.1447 0.0860  2 Co 1.90, 3 Li 2.08-2.12
O 0.6025 0.8553 0.9140  2 Co 1.90, 3 Li 2.08-2.12
O 0.6115 0.3583 0.4170  2 Co 1.91-1.92, 1 Li 2.13
O 0.6435 0.1196 0.6698  2 Co 1.95-1.99, 1 Mn 1.98, 2 Li 2.14-2.15
O 0.6429 0.6209 0.1723  2 Co 1.95-1.96, 1 Mn 1.98, 1 Li 2.15
O 0.8790 0.2809 0.9528  1 Mn 1.87, 4 Li 2.02-2.08
O 0.8807 0.0146 0.2241  1 Mn 1.88, 4 Li 1.98-2.09
O 0.8855 0.7646 0.4608  2 Co 1.92-2.13, 1 Mn 1.97, 2 Li 2.11-2.13
O 0.8877 0.5194 0.7087  2 Co 1.92-2.15, 1 Mn 1.97, 2 Li 2.07-2.12

Entry from the Materials Project database: an optimized crystal structure of Ca2La8Ti5Cr5O30 (GGA+U).

- Raw total energy: -8.378 eV per atom
- ΔH_f (0 K): -3.40 eV per atom
- V: 12.10 Å³ per atom
- Crystal system: triclinic
- SG: P-1 (2)
- Magnetization: 15.7 μB/cell

Unit cell a=5.5220 b=5.5228 c=22.9567 alpha=90.56 beta=96.46 gamma=119.31
Last column: nearest neighbours and their distance in Å.
Element x y z (fractional)
Ca 0.0995 0.0515 0.1524  3 O 2.36-2.46
Ca 0.9005 0.9485 0.8476  3 O 2.36-2.46
La 0.0993 0.5479 0.6493  3 O 2.38-2.43
La 0.2992 0.6500 0.9478  3 O 2.42-2.47
La 0.3010 0.1512 0.4500  3 O 2.39-2.40
La 0.4972 0.7523 0.2508  3 O 2.37-2.47
La 0.5028 0.2477 0.7492  3 O 2.37-2.47
La 0.6990 0.8488 0.5500  3 O 2.39-2.40
La 0.7008 0.3500 0.0522  3 O 2.42-2.47
La 0.9007 0.4521 0.3507  3 O 2.38-2.43
Ti 0.0000 0.0000 0.0000  6 O 2.00
Ti 0.2014 0.5984 0.8006  6 O 1.97-2.00
Ti 0.4039 0.7012 0.1006  6 O 1.99-2.01
Ti 0.5961 0.2988 0.8994  6 O 1.99-2.01
Ti 0.7986 0.4016 0.1994  6 O 1.97-2.00
Cr 0.0000 0.5000 0.5000  6 O 2.01
Cr 0.1990 0.1003 0.2992  6 O 2.00-2.01
Cr 0.3994 0.1996 0.6002  6 O 2.00-2.01
Cr 0.6006 0.8004 0.3998  6 O 2.00-2.01
Cr 0.8010 0.8997 0.7008  6 O 2.00-2.01
O 0.0118 0.7888 0.2359  1 Ti 1.98, 1 Cr 2.00
O 0.0521 0.5264 0.1382  2 Ti 1.98-2.00
O 0.0633 0.3182 0.2504  1 Cr 2.00, 1 Ti 2.00
O 0.1268 0.2778 0.5506  2 Cr 2.00-2.01
O 0.1580 0.0786 0.6649  2 Cr 2.00-2.01
O 0.1859 0.8075 0.5644  2 Cr 2.00-2.01
O 0.2158 0.3904 0.0369  2 Ti 2.00-2.01
O 0.2466 0.1242 0.9367  2 Ti 1.99-2.00
O 0.2635 0.9082 0.0486  2 Ti 2.00-2.01
O 0.3285 0.8772 0.3488  2 Cr 2.01
O 0.3577 0.6782 0.4640  2 Cr 2.00-2.01
O 0.3861 0.4067 0.3638  2 Cr 2.01
O 0.4088 0.9831 0.8377  2 Ti 1.98-1.99
O 0.4450 0.7206 0.7368  1 Ti 2.00, 1 Cr 2.00
O 0.4654 0.5183 0.8502  2 Ti 1.97-1.99
O 0.5346 0.4817 0.1498  2 Ti 1.97-1.99
O 0.5550 0.2794 0.2632  1 Ti 2.00, 1 Cr 2.00
O 0.5912 0.0169 0.1623  2 Ti 1.98-1.99
O 0.6139 0.5933 0.6362  2 Cr 2.01
O 0.6423 0.3218 0.5360  2 Cr 2.00-2.01
O 0.6715 0.1228 0.6512  2 Cr 2.01
O 0.7365 0.0918 0.9514  2 Ti 2.00-2.01
O 0.7534 0.8758 0.0633  2 Ti 1.99-2.00
O 0.7842 0.6096 0.9631  2 Ti 2.00-2.01
O 0.8141 0.1925 0.4356  2 Cr 2.00-2.01
O 0.8420 0.9214 0.3351  2 Cr 2.00-2.01
O 0.8732 0.7222 0.4494  2 Cr 2.00-2.01
O 0.9367 0.6818 0.7496  1 Cr 2.00, 1 Ti 2.00
O 0.9479 0.4736 0.8618  2 Ti 1.98-2.00
O 0.9882 0.2112 0.7641  1 Ti 1.98, 1 Cr 2.00

Entry from the Materials Project database: an optimized crystal structure of NaZnMoHO5 (GGA+U).

- Raw total energy: -5.774 eV per atom
- ΔH_f (0 K): -1.89 eV per atom
- V: 12.99 Å³ per atom
- Crystal system: orthorhombic
- SG: Pnma (62)
- Magnetization: 0.0 μB/cell

Unit cell a=7.9502 b=6.2598 c=9.3984 alpha=90.00 beta=90.00 gamma=90.00
Last column: nearest neighbours and their distance in Å.
Element x y z (fractional)
Na 0.1480 0.2500 0.1937  3 O 2.31-2.58
Na 0.3520 0.7500 0.6937  3 O 2.31-2.58
Na 0.6480 0.2500 0.3063  3 O 2.31-2.58
Na 0.8520 0.7500 0.8063  3 O 2.31-2.58
Zn 0.0000 0.0000 0.5000  2 O 1.96
Zn 0.0000 0.5000 0.5000  2 O 1.96
Zn 0.5000 0.0000 0.0000  2 O 1.96
Zn 0.5000 0.5000 0.0000  2 O 1.96
Mo 0.1173 0.2500 0.8356  4 O 1.78-1.83
Mo 0.3827 0.7500 0.3356  4 O 1.78-1.83
Mo 0.6173 0.2500 0.6644  4 O 1.78-1.83
Mo 0.8827 0.7500 0.1644  4 O 1.78-1.83
H 0.2449 0.2500 0.4816  1 O 0.99
H 0.2551 0.7500 0.9816  1 O 0.99
H 0.7449 0.2500 0.0184  1 O 0.99
H 0.7551 0.7500 0.5184  1 O 0.99
O 0.0528 0.7500 0.0416  1 H 1.70, 1 Mo 1.78
O 0.1057 0.0154 0.7254  1 Mo 1.80
O 0.1057 0.4846 0.7254  1 Mo 1.80
O 0.1307 0.2500 0.4392  1 H 0.99
O 0.1907 0.7500 0.4434  1 Mo 1.83
O 0.3093 0.2500 0.9434  1 Mo 1.83
O 0.3693 0.7500 0.9392  1 H 0.99
O 0.3943 0.5154 0.2254  1 Mo 1.80
O 0.3943 0.9846 0.2254  1 Mo 1.80
O 0.4472 0.2500 0.5416  1 H 1.70, 1 Mo 1.78
O 0.5528 0.7500 0.4584  1 H 1.70, 1 Mo 1.78
O 0.6057 0.0154 0.7746  1 Mo 1.80
O 0.6057 0.4846 0.7746  1 Mo 1.80
O 0.6307 0.2500 0.0608  1 H 0.99
O 0.6907 0.7500 0.0566  1 Mo 1.83
O 0.8093 0.2500 0.5566  1 Mo 1.83
O 0.8693 0.7500 0.5608  1 H 0.99
O 0.8943 0.5154 0.2746  1 Mo 1.80
O 0.8943 0.9846 0.2746  1 Mo 1.80
O 0.9472 0.2500 0.9584  1 H 1.70, 1 Mo 1.78

- magnetization of number 2 (Li9Mn2Co5O16)?
  10.0 μB/cell

- Number 4 is which compound?
  NaZnMoHO5

- What is the formula in the second record?
  Li9Mn2Co5O16

- Which of these has the lowest ΔH_f (0 K)?
  Ca2La8Ti5Cr5O30